Ba3SrNb2O9 PBE-GGA relaxed; distance to the lowest polymorph of the same formula = 16 meV per atom; formation energy = -3.2480 eV/atom; SG = No. 194; calculated density = 5.3 Mg/m³; crystal system = hexagonal
1.0
6.100 0.000 0.000
-3.050 5.283 0.000
0.000 0.000 16.111
Ba Sr Nb O
6 2 4 18
direct
0.000 0.000 0.250
0.000 0.000 0.750
0.333 0.667 0.127
0.333 0.667 0.373
0.667 0.333 0.627
0.667 0.333 0.873
0.000 0.000 0.000
0.000 0.000 0.500
0.333 0.667 0.656
0.333 0.667 0.844
0.667 0.333 0.156
0.667 0.333 0.344
0.032 0.516 0.750
0.172 0.345 0.602
0.172 0.345 0.898
0.172 0.828 0.602
0.172 0.828 0.898
0.345 0.172 0.102
0.345 0.172 0.398
0.484 0.516 0.750
0.484 0.968 0.750
0.516 0.032 0.250
0.516 0.484 0.250
0.655 0.828 0.602
0.655 0.828 0.898
0.828 0.172 0.102
0.828 0.172 0.398
0.828 0.655 0.102
0.828 0.655 0.398
0.968 0.484 0.250


RbNa5Be8O11 PBE-GGA relaxed; distance to the lowest polymorph of the same formula = 0 meV per atom; formation energy = -2.5483 eV/atom; SG = No. 2; calculated density = 2.7 Mg/m³; crystal system = triclinic
1.0
6.487 0.000 0.000
3.215 8.950 0.000
0.167 4.871 9.594
Rb Na Be O
2 10 16 22
direct
0.250 0.236 0.061
0.750 0.764 0.939
0.236 0.740 0.539
0.249 0.946 0.976
0.254 0.447 0.483
0.373 0.139 0.373
0.407 0.637 0.857
0.593 0.363 0.143
0.627 0.861 0.627
0.746 0.553 0.517
0.751 0.054 0.024
0.764 0.260 0.461
0.004 0.592 0.749
0.050 0.913 0.725
0.117 0.785 0.272
0.165 0.282 0.761
0.226 0.613 0.149
0.280 0.110 0.646
0.409 0.843 0.299
0.459 0.343 0.786
0.541 0.657 0.214
0.591 0.157 0.701
0.720 0.890 0.354
0.774 0.387 0.851
0.835 0.718 0.239
0.883 0.215 0.728
0.950 0.087 0.275
0.996 0.408 0.251
0.019 0.769 0.138
0.028 0.758 0.721
0.064 0.266 0.626
0.142 0.959 0.246
0.195 0.459 0.724
0.213 0.437 0.207
0.280 0.930 0.713
0.377 0.658 0.333
0.426 0.153 0.822
0.433 0.645 0.086
0.480 0.149 0.573
0.520 0.851 0.427
0.567 0.355 0.914
0.574 0.847 0.178
0.623 0.342 0.667
0.720 0.070 0.287
0.787 0.563 0.793
0.805 0.541 0.276
0.858 0.041 0.754
0.936 0.734 0.374
0.972 0.242 0.279
0.981 0.231 0.862


Si PBE-GGA relaxed; distance to the lowest polymorph of the same formula = 58 meV per atom; formation energy = 0.0583 eV/atom; SG = No. 194; calculated density = 2.0 Mg/m³; crystal system = hexagonal
1.0
10.411 0.000 0.000
-5.206 9.017 0.000
0.000 0.000 17.056
Si
68
direct
0.000 0.000 0.182
0.000 0.000 0.318
0.000 0.000 0.682
0.000 0.000 0.818
0.050 0.330 0.065
0.050 0.330 0.435
0.050 0.719 0.065
0.050 0.719 0.435
0.069 0.535 0.750
0.084 0.542 0.135
0.084 0.542 0.365
0.123 0.247 0.639
0.123 0.247 0.861
0.123 0.877 0.639
0.123 0.877 0.861
0.202 0.404 0.750
0.202 0.798 0.750
0.247 0.123 0.139
0.247 0.123 0.361
0.281 0.330 0.065
0.281 0.330 0.435
0.281 0.950 0.065
0.281 0.950 0.435
0.330 0.050 0.565
0.330 0.050 0.935
0.330 0.281 0.565
0.330 0.281 0.935
0.333 0.667 0.180
0.333 0.667 0.320
0.404 0.202 0.250
0.458 0.542 0.135
0.458 0.542 0.365
0.458 0.916 0.135
0.458 0.916 0.365
0.465 0.535 0.750
0.465 0.931 0.750
0.535 0.069 0.250
0.535 0.465 0.250
0.542 0.084 0.635
0.542 0.084 0.865
0.542 0.458 0.635
0.542 0.458 0.865
0.596 0.798 0.750
0.667 0.333 0.680
0.667 0.333 0.820
0.670 0.719 0.065
0.670 0.719 0.435
0.670 0.950 0.065
0.670 0.950 0.435
0.719 0.050 0.565
0.719 0.050 0.935
0.719 0.670 0.565
0.719 0.670 0.935
0.753 0.877 0.639
0.753 0.877 0.861
0.798 0.202 0.250
0.798 0.596 0.250
0.877 0.123 0.139
0.877 0.123 0.361
0.877 0.753 0.139
0.877 0.753 0.361
0.916 0.458 0.635
0.916 0.458 0.865
0.931 0.465 0.250
0.950 0.281 0.565
0.950 0.281 0.935
0.950 0.670 0.565
0.950 0.670 0.935


CeMg14B PBE-GGA relaxed; distance to the lowest polymorph of the same formula = 0 meV per atom; formation energy = 0.1466 eV/atom; SG = No. 38; calculated density = 2.2 Mg/m³; crystal system = orthorhombic
1.0
10.277 0.000 0.000
0.000 2.977 6.007
0.000 -2.977 6.007
Ce Mg B
1 14 1
direct
0.000 0.000 0.000
0.000 0.025 0.498
0.000 0.498 0.025
0.166 0.596 0.596
0.252 0.132 0.634
0.252 0.634 0.132
0.260 0.142 0.142
0.500 0.484 0.979
0.500 0.488 0.488
0.500 0.978 0.978
0.500 0.979 0.484
0.740 0.142 0.142
0.748 0.132 0.634
0.748 0.634 0.132
0.834 0.596 0.596
0.000 0.434 0.434


FeSCl7 PBE-GGA relaxed; distance to the lowest polymorph of the same formula = 0 meV per atom; formation energy = -0.9331 eV/atom; SG = No. 14; calculated density = 2.0 Mg/m³; crystal system = monoclinic
1.0
6.528 0.000 0.000
0.000 12.559 0.000
-2.779 0.000 13.348
Fe S Cl
4 4 28
direct
0.111 0.018 0.232
0.111 0.482 0.732
0.889 0.518 0.268
0.889 0.982 0.768
0.471 0.747 0.418
0.471 0.753 0.918
0.529 0.247 0.082
0.529 0.253 0.582
0.005 0.553 0.129
0.005 0.947 0.629
0.109 0.577 0.403
0.109 0.923 0.903
0.141 0.657 0.722
0.141 0.843 0.222
0.314 0.666 0.004
0.314 0.834 0.504
0.316 0.147 0.613
0.316 0.353 0.113
0.353 0.151 0.979
0.353 0.349 0.479
0.422 0.093 0.243
0.422 0.407 0.743
0.578 0.593 0.257
0.578 0.907 0.757
0.647 0.651 0.521
0.647 0.849 0.021
0.684 0.647 0.887
0.684 0.853 0.387
0.686 0.166 0.496
0.686 0.334 0.996
0.859 0.157 0.778
0.859 0.343 0.278
0.891 0.077 0.097
0.891 0.423 0.597
0.995 0.053 0.371
0.995 0.447 0.871


MgScTl PBE-GGA relaxed; formation energy = 0.2421 eV/atom; SG = No. 216; calculated density = 5.5 Mg/m³; crystal system = cubic
1.0
0.000 3.458 3.458
3.458 0.000 3.458
3.458 3.458 0.000
Mg Sc Tl
1 1 1
direct
0.000 0.000 0.000
0.750 0.750 0.750
0.500 0.500 0.500


no.,calculated total energy (eV per atom)
1,-7.6478
2,-5.9235
3,-5.3671
4,-2.0419
5,-3.2941
6,-3.1897